1.
DFT (PBE with a Hubbard U) results for a geometry-optimized Sr2MnMoO6 structure.

Calculated values
total magnetization: 5.0 μB/f.u.
VASP energy: -7.051 eV/atom
DFT formation energy: -2643 meV/atom
calculated density: 5.2 g/cm3
SG: P4_2/n

```
40
Lattice="8.0961 0.0000 0.0000 0.0000 8.0961 0.0000 0.0000 0.0000 8.1624" Properties=species:S:1:pos:R:3 pbc="T T T"
Sr 2.0240 2.0240 2.0406
Sr 2.0240 2.0240 6.1218
Sr 2.0240 6.0721 1.9366
Sr 2.0240 6.0721 6.0178
Sr 6.0721 2.0240 2.1446
Sr 6.0721 2.0240 6.2258
Sr 6.0721 6.0721 2.0406
Sr 6.0721 6.0721 6.1218
Mn 0.0000 0.0000 0.0000
Mn 0.0000 4.0480 4.0812
Mn 4.0480 0.0000 4.0812
Mn 4.0480 4.0480 0.0000
Mo 0.0000 0.0000 4.0812
Mo 0.0000 4.0480 0.0000
Mo 4.0480 0.0000 0.0000
Mo 4.0480 4.0480 4.0812
O 0.1579 0.1818 2.1451
O 0.1818 3.8901 1.9361
O 0.3474 2.1362 7.9867
O 0.3736 6.1854 3.9327
O 1.9118 0.3474 4.2570
O 1.9106 4.4216 8.0140
O 2.1362 3.7006 4.2570
O 2.1374 7.7225 8.0140
O 3.6745 5.9587 3.9327
O 3.7006 1.9118 7.9867
O 3.8662 0.1579 1.9361
O 3.8901 3.8662 2.1451
O 4.2060 4.2299 6.0173
O 4.2299 7.9382 6.2263
O 4.3954 6.1843 0.1758
O 4.4216 2.1374 4.2297
O 5.9587 0.3736 0.1485
O 5.9598 4.3954 3.9055
O 6.1854 3.6745 0.1485
O 6.1843 7.7487 3.9055
O 7.7225 1.9106 4.2297
O 7.7487 5.9598 0.1758
O 7.9143 4.2060 6.2263
O 7.9382 7.9143 6.0173
```

---

2.
DFT (PBE with a Hubbard U) results for a geometry-optimized Sr2MnMoO6 structure.

Calculated values
total magnetization: 1.0 μB/f.u.
VASP energy: -7.033 eV/atom
DFT formation energy: -2625 meV/atom
calculated density: 5.4 g/cm3
SG: P-1

```
20
Lattice="5.6247 0.0000 0.0000 -0.0101 5.6260 0.0000 -0.0075 -0.0065 8.2653" Properties=species:S:1:pos:R:3 pbc="T T T"
Sr 5.6214 -0.0007 2.0270
Sr -0.0144 5.6202 6.2384
Sr 2.7987 2.8094 6.2375
Sr 2.8083 2.8101 2.0279
Mn -0.0051 2.8130 0.0000
Mn 2.8086 -0.0032 4.1327
Mo -0.0088 2.8098 4.1327
Mo 2.8123 0.0000 0.0000
O 0.0053 2.8207 6.0828
O 1.0160 1.1542 4.1317
O 1.1615 4.4051 0.0118
O 1.5866 1.6368 0.0003
O 1.6464 3.8328 4.1205
O 2.7779 5.6055 6.3350
O 2.8292 0.0140 1.9304
O 3.9607 1.7867 4.1448
O 4.0204 3.9827 8.2650
O 4.4456 1.2144 8.2536
O 4.5911 4.4654 4.1336
O 5.6017 2.7988 2.1826
```

---

3.
DFT (PBE with a Hubbard U) results for a geometry-optimized Mn2Tl2Mo3O12 structure.

Calculated values
total magnetization: 10.0 μB/f.u.
VASP energy: -6.855 eV/atom
DFT formation energy: -1920 meV/atom
calculated density: 4.8 g/cm3
SG: P2_13

```
76
Lattice="11.1598 0.0000 0.0000 0.0000 11.1598 0.0000 0.0000 0.0000 11.1598" Properties=species:S:1:pos:R:3 pbc="T T T"
Mn 1.1830 1.1830 1.1830
Mn 1.8350 3.7449 7.4149
Mn 3.7449 7.4149 1.8350
Mn 4.3969 9.9768 6.7629
Mn 6.7629 4.3969 9.9768
Mn 7.4149 1.8350 3.7449
Mn 9.3249 9.3249 9.3249
Mn 9.9768 6.7629 4.3969
Tl 0.6617 10.4982 4.9182
Tl 1.9616 7.5415 9.1982
Tl 3.6183 3.6183 3.6183
Tl 4.9182 0.6617 10.4982
Tl 6.2416 6.2416 6.2416
Tl 7.5415 9.1982 1.9616
Tl 9.1982 1.9616 7.5415
Tl 10.4982 4.9182 0.6617
Mo 0.2436 8.8147 1.3731
Mo 1.3731 0.2436 8.8147
Mo 2.3451 6.9530 5.3363
Mo 3.2348 4.2068 10.9162
Mo 4.2068 10.9162 3.2348
Mo 5.3363 2.3451 6.9530
Mo 5.8236 7.9250 9.7867
Mo 6.9530 5.3363 2.3451
Mo 7.9250 9.7867 5.8236
Mo 8.8147 1.3731 0.2436
Mo 9.7867 5.8236 7.9250
Mo 10.9162 3.2348 4.2068
O 0.1452 4.8947 8.0910
O 0.2148 10.5170 1.9885
O 0.5505 2.1735 2.9973
O 0.6428 7.5684 5.3651
O 0.6853 3.0688 5.7251
O 1.0464 1.9327 8.2969
O 1.9327 8.2969 1.0464
O 1.9885 0.2148 10.5170
O 2.1735 2.9973 0.5505
O 2.5111 5.4348 6.2652
O 2.5827 10.6093 7.7534
O 2.7170 4.5336 9.2271
O 2.8630 6.6263 3.6472
O 2.9973 0.5505 2.1735
O 3.0688 5.7251 0.6853
O 3.4065 8.1626 6.1304
O 3.5914 10.9451 4.9371
O 3.6472 2.8630 6.6263
O 4.5336 9.2271 2.7170
O 4.8947 8.0910 0.1452
O 4.9371 3.5914 10.9451
O 5.0294 8.9864 8.5772
O 5.3651 0.6428 7.5684
O 5.4348 6.2652 2.5111
O 5.7251 0.6853 3.0688
O 5.7947 6.2227 9.1713
O 6.1304 3.4065 8.1626
O 6.2227 9.1713 5.7947
O 6.2652 2.5111 5.4348
O 6.6263 3.6472 2.8630
O 7.5126 8.4429 10.1135
O 7.5684 5.3651 0.6428
O 7.7534 2.5827 10.6093
O 8.0910 0.1452 4.8947
O 8.1626 6.1304 3.4065
O 8.2969 1.0464 1.9327
O 8.4429 10.1135 7.5126
O 8.5772 5.0294 8.9864
O 8.6487 11.0147 10.4746
O 8.9864 8.5772 5.0294
O 9.1713 5.7947 6.2227
O 9.2271 2.7170 4.5336
O 10.1135 7.5126 8.4429
O 10.4746 8.6487 11.0147
O 10.5170 1.9885 0.2148
O 10.6093 7.7534 2.5827
O 10.9451 4.9371 3.5914
O 11.0147 10.4746 8.6487
```

---

4.
DFT (PBE with a Hubbard U) results for a geometry-optimized UMnMo4O16 structure.

Calculated values
total magnetization: 2.9 μB/f.u.
VASP energy: -7.528 eV/atom
DFT formation energy: -2186 meV/atom
calculated density: 5.0 g/cm3
SG: P2/c

```
44
Lattice="7.9893 0.0000 0.0000 0.0000 6.6257 0.0000 -7.9386 0.0000 11.6363" Properties=species:S:1:pos:R:3 pbc="T T T"
U -1.9847 1.3529 2.9091
U -5.9540 5.2728 8.7272
Mn 2.0100 1.2768 2.9091
Mn -1.9593 5.3489 8.7272
Mo -5.6530 2.1833 10.5956
Mo -1.6837 4.4424 4.7774
Mo -2.2588 2.1407 6.9659
Mo 1.7105 4.4850 1.1478
Mo -1.6599 2.1407 10.4885
Mo 2.3095 4.4850 4.6704
Mo 1.7343 2.1833 6.8588
Mo 5.7037 4.4424 1.0407
O -5.9540 2.9206 8.7272
O -1.9847 3.7051 2.9091
O -4.0261 2.2929 6.9367
O -0.0567 4.3328 1.1185
O -5.9186 0.4611 10.1538
O -1.9493 6.1646 4.3357
O -1.9535 2.2985 5.0472
O -5.9228 4.3272 10.8653
O -0.1218 1.3348 2.8950
O -4.0911 5.2909 8.7131
O 2.0062 2.2812 0.7846
O -1.9631 4.3445 6.6028
O -2.0618 0.4413 7.3531
O 1.9075 6.1843 1.5349
O -3.8977 2.2632 10.5142
O 0.0716 4.3625 4.6961
O -1.9593 2.9158 8.7272
O 2.0100 3.7099 2.9091
O -0.0209 2.2632 6.9402
O 3.9484 4.3625 1.1221
O -1.8568 0.4413 10.1014
O 2.1125 6.1843 4.2832
O 2.0138 2.2812 5.0335
O -1.9555 4.3445 10.8516
O 4.1418 1.3348 2.9231
O 0.1725 5.2909 8.7413
O 5.9735 2.2985 0.7710
O 2.0042 4.3272 6.5891
O 2.0000 0.4611 7.3006
O 5.9693 6.1646 1.4824
O 0.1074 2.2929 10.5177
O 4.0767 4.3328 4.6996
```

---

5.
DFT (PBE with a Hubbard U) results for a geometry-optimized Mn8NO16 structure.

Calculated values
total magnetization: 21.0 μB/f.u.
VASP energy: -6.979 eV/atom
DFT formation energy: -1520 meV/atom
calculated density: 4.1 g/cm3
SG: P-1

```
25
Lattice="5.8641 0.0000 0.0000 1.4665 7.0326 0.0000 1.4664 0.0008 7.0330" Properties=species:S:1:pos:R:3 pbc="T T T"
Mn 0.7333 0.1063 1.2806
Mn 2.1995 2.2366 3.6222
Mn 3.6658 4.7964 3.4112
Mn 5.1325 6.9279 5.7532
Mn 3.6645 0.1055 1.2799
Mn 5.1312 2.2370 3.6218
Mn 6.5975 4.7968 3.4108
Mn 8.0637 6.9271 5.7524
N 0.7332 3.5163 0.0000
O 2.1992 5.5710 4.3780
O 2.2025 3.8511 2.5385
O 2.1988 0.8613 4.9783
O 3.6690 6.0556 6.6985
O 2.2019 0.9797 0.3354
O 3.6649 6.1708 2.0544
O 3.6682 3.1810 4.4965
O 3.6649 1.4623 2.6546
O 5.1322 5.5711 4.3784
O 5.1288 3.8524 2.5365
O 5.1321 0.8626 4.9786
O 6.5951 6.0537 6.6976
O 5.1281 0.9778 0.3346
O 6.5982 6.1721 2.0547
O 6.5945 3.1823 4.4945
O 6.5978 1.4624 2.6550
```

---

6.
DFT (PBE with a Hubbard U) results for a geometry-optimized Mn4NO8 structure.

Calculated values
total magnetization: 14.9 μB/f.u.
VASP energy: -6.827 eV/atom
DFT formation energy: -1257 meV/atom
calculated density: 4.1 g/cm3
SG: I4/m

```
13
Lattice="-4.9796 4.9796 1.4719 4.9796 -4.9796 1.4719 4.9796 4.9796 -1.4719" Properties=species:S:1:pos:R:3 pbc="T T T"
Mn 6.6367 1.5046 0.0000
Mn 1.5046 3.3226 0.0000
Mn 3.4750 1.6571 1.4719
Mn -1.6571 3.4750 1.4719
N 0.0000 0.0000 0.0000
O 3.3450 0.4292 0.0000
O 3.4264 2.9444 0.0000
O 4.5505 -1.6346 1.4719
O 2.0353 -1.5532 1.4719
O 2.9444 6.5329 0.0000
O 0.4292 6.6143 0.0000
O 1.5532 2.0353 1.4719
O 1.6346 4.5505 1.4719
```

---

7.
DFT (PBE with a Hubbard U) results for a geometry-optimized Mn4P3NO12 structure.

Calculated values
total magnetization: 22.0 μB/f.u.
VASP energy: -7.369 eV/atom
DFT formation energy: -2085 meV/atom
calculated density: 3.2 g/cm3
SG: Pnnm

```
80
Lattice="9.9949 0.0000 0.0000 0.0000 16.6112 0.0000 0.0000 0.0000 6.4566" Properties=species:S:1:pos:R:3 pbc="T T T"
Mn 0.1602 2.2784 0.0000
Mn 0.4143 9.9013 3.2283
Mn 2.4653 4.9309 1.6038
Mn 2.4653 4.9309 4.8528
Mn 2.5321 13.2365 1.6245
Mn 2.5321 13.2365 4.8320
Mn 4.5831 1.5957 0.0000
Mn 4.8372 10.5840 3.2283
Mn 5.1576 6.0272 3.2283
Mn 5.4117 15.0155 0.0000
Mn 7.4627 3.3747 1.6245
Mn 7.4627 3.3747 4.8320
Mn 7.5296 11.6803 1.6038
Mn 7.5296 11.6803 4.8528
Mn 9.5806 6.7099 3.2283
Mn 9.8347 14.3328 0.0000
P 0.3896 3.6274 3.2283
P 0.4359 11.0702 0.0000
P 2.1584 16.0405 0.0000
P 2.8391 7.7349 3.2283
P 4.5616 2.7646 3.2283
P 4.6078 11.9330 0.0000
P 5.3870 4.6782 0.0000
P 5.4333 13.8466 3.2283
P 7.1558 8.8763 3.2283
P 7.8365 0.5707 0.0000
P 9.5590 5.5410 0.0000
P 9.6053 12.9838 3.2283
N 1.9957 0.4606 3.2283
N 3.0017 8.7662 0.0000
N 6.9932 7.8450 0.0000
N 7.9991 16.1506 3.2283
O 0.8372 10.3413 1.2874
O 0.8372 10.3413 5.1691
O 0.9427 5.1656 3.2283
O 0.9596 3.0626 1.9242
O 0.9596 3.0626 4.5324
O 1.1053 5.2567 0.0000
O 1.1616 12.8816 3.2283
O 1.1784 12.4971 0.0000
O 1.2798 8.0086 3.2283
O 1.5093 0.7976 0.0000
O 1.7321 15.1549 1.2146
O 1.7321 15.1549 5.2420
O 3.2653 6.8493 2.0137
O 3.2653 6.8493 4.4429
O 3.4881 9.1032 3.2283
O 3.7176 16.3142 0.0000
O 3.8190 4.1915 3.2283
O 3.8358 4.5760 0.0000
O 3.8921 13.5623 3.2283
O 4.0378 11.3682 1.3041
O 4.0378 11.3682 5.1525
O 4.0548 13.4712 0.0000
O 4.1602 2.0357 1.9408
O 4.1602 2.0357 4.5157
O 5.8347 14.5755 1.9408
O 5.8347 14.5755 4.5157
O 5.9401 3.1400 0.0000
O 5.9571 5.2430 1.3041
O 5.9571 5.2430 5.1525
O 6.1028 3.0489 3.2283
O 6.1591 12.0352 0.0000
O 6.1758 12.4197 3.2283
O 6.2772 0.2970 0.0000
O 6.5068 7.5080 3.2283
O 6.7296 9.7619 2.0137
O 6.7296 9.7619 4.4429
O 8.2627 1.4563 1.2146
O 8.2627 1.4563 5.2420
O 8.4855 15.8136 0.0000
O 8.7151 8.6026 3.2283
O 8.8164 4.1141 0.0000
O 8.8332 3.7296 3.2283
O 8.8895 11.3545 0.0000
O 9.0352 13.5486 1.9242
O 9.0352 13.5486 4.5324
O 9.0522 11.4456 3.2283
O 9.1576 6.2699 1.2874
O 9.1576 6.2699 5.1691
```

---

8.
DFT (PBE with a Hubbard U) results for a geometry-optimized MnP3NO9 structure.

Calculated values
total magnetization: 7.0 μB/f.u.
VASP energy: -6.952 eV/atom
DFT formation energy: -1922 meV/atom
calculated density: 2.7 g/cm3
SG: P-6c2

```
28
Lattice="6.6585 0.0000 0.0000 -3.3293 5.7665 0.0000 0.0000 0.0000 9.8765" Properties=species:S:1:pos:R:3 pbc="T T T"
Mn 0.0000 0.0000 0.0000
Mn 0.0000 0.0000 4.9383
P 2.1917 0.6241 2.4691
P 1.6364 1.5860 7.4074
P 4.4668 0.6241 7.4074
P 2.7739 3.5563 2.4691
P 5.0222 1.5860 2.4691
P 3.8846 3.5563 7.4074
N 0.0000 3.8443 0.0000
N 0.0000 3.8443 4.9383
O 1.6986 0.0192 1.1850
O 1.6986 0.0192 3.7533
O 0.8659 1.4614 6.1232
O 0.8659 1.4614 8.6916
O 2.8664 0.5402 7.4074
O 1.9011 2.2123 2.4691
O 3.7921 0.5402 2.4691
O 2.3639 3.0140 7.4074
O 4.9600 0.0192 6.1232
O 4.9600 0.0192 8.6916
O 2.4966 4.2859 1.1850
O 2.4966 4.2859 3.7533
O 4.7575 2.2123 7.4074
O 4.2946 3.0140 2.4691
O 5.7926 1.4614 1.1850
O 5.7926 1.4614 3.7533
O 4.1619 4.2859 6.1232
O 4.1619 4.2859 8.6916
```